This record from Materials Project describes crystalline Te2Mo3WSe4S2 at its relaxed geometry. The functional is PBE-GGA.

Computed properties:
SG	No. 156
DFT total energy	-6.702	eV/atom
density	4.99	Mg/m³
DFT formation energy	-0.616	eV per atom

Unit cell a=3.3459 b=3.3459 c=38.0253 alpha=90.00 beta=90.00 gamma=120.00
With the nearest neighbours (Å) after each atom.
Fractional positions:
1 Te 0.0000 0.0000 0.0000  3 W 2.71
2 Te 0.0000 0.0000 0.1002  3 W 2.71
3 Mo 0.0000 0.0000 0.4865  6 Se 2.55
4 Mo 0.0000 0.0000 0.8622  6 S 2.46
5 Mo 0.3333 0.6667 0.6744  6 Se 2.55
6 W 0.3333 0.6667 0.0502  6 Te 2.71
7 Se 0.0000 0.0000 0.6305  3 Mo 2.55
8 Se 0.0000 0.0000 0.7182  3 Mo 2.55
9 Se 0.3333 0.6667 0.4427  3 Mo 2.55
10 Se 0.3333 0.6667 0.5303  3 Mo 2.55
11 S 0.3333 0.6667 0.8224  3 Mo 2.46
12 S 0.3333 0.6667 0.9021  3 Mo 2.46